Density functional theory data (GGA+U) for CaTiNiP3O12 after structural relaxation.

Properties
ΔH_f (0 K) = -2.757 eV/atom
Spin magnetization = 0.0556 μB/atom
Volume = 474.1 Å³/cell
Calculated density = 3023 kg/m³
Energy with MP2020 corrections = -7.829 eV/atom

Lattice parameters (Å, degrees): 8.848 8.848 8.848 58.61 58.61 58.61
Positions (direct):
Ni1 0.353 0.353 0.353
O1 0.938 0.725 0.083
O2 0.122 0.514 0.290
O3 0.583 0.225 0.438
O4 0.290 0.122 0.514
O5 0.922 0.055 0.272
O6 0.422 0.772 0.555
O7 0.225 0.438 0.583
O8 0.207 0.000 0.371
O9 0.500 0.707 0.871
O10 0.622 0.790 0.014
P1 0.040 0.461 0.751
O11 0.055 0.272 0.922
O12 0.871 0.500 0.707
O13 0.555 0.422 0.772
Ca1 0.997 0.997 0.997
Ti1 0.647 0.647 0.647
O14 0.371 0.207 0.000
P2 0.461 0.751 0.040
Ti2 0.147 0.147 0.147
O15 0.272 0.922 0.055
O16 0.014 0.622 0.790
Ca2 0.497 0.497 0.497
O17 0.707 0.871 0.500
P3 0.540 0.251 0.961
O18 0.438 0.583 0.225
O19 0.083 0.938 0.725
O20 0.772 0.555 0.422
O21 0.000 0.371 0.207
O22 0.725 0.083 0.938
O23 0.514 0.290 0.122
Ni2 0.853 0.853 0.853
O24 0.790 0.014 0.622
P4 0.961 0.540 0.251
P5 0.751 0.040 0.461
P6 0.251 0.961 0.540

---

Density functional theory data (GGA+U) for CaTiNiP2O9 after structural relaxation.

Properties
ΔH_f (0 K) = -2.920 eV/atom
Spin magnetization = 0.1429 μB/atom
Volume = 697.1 Å³/cell
Calculated density = 3360 kg/m³
Energy with MP2020 corrections = -7.994 eV/atom

Lattice parameters (Å, degrees): 6.491 7.519 14.281 90.00 90.00 90.00
Positions (direct):
O1 0.750 0.833 0.015
O2 0.948 0.107 0.132
Ni1 0.500 0.000 0.000
O3 0.750 0.220 0.756
Ca1 0.250 0.382 0.719
O4 0.250 0.859 0.058
O5 0.448 0.893 0.868
O6 0.552 0.107 0.132
O7 0.562 0.870 0.629
O8 0.750 0.994 0.487
P1 0.750 0.109 0.192
O9 0.250 0.006 0.513
O10 0.438 0.130 0.371
P2 0.250 0.891 0.808
O11 0.250 0.720 0.744
O12 0.948 0.393 0.632
Ni2 0.000 0.000 0.000
P3 0.750 0.391 0.692
P4 0.250 0.609 0.308
O13 0.062 0.130 0.371
Ca2 0.750 0.618 0.281
O14 0.250 0.333 0.485
O15 0.250 0.641 0.558
Ti1 0.250 0.656 0.117
O16 0.552 0.393 0.632
Ti2 0.750 0.344 0.883
O17 0.750 0.958 0.267
O18 0.750 0.667 0.515
Ca3 0.250 0.118 0.219
O19 0.438 0.370 0.871
P5 0.750 0.650 0.062
O20 0.750 0.542 0.767
O21 0.250 0.458 0.233
O22 0.750 0.280 0.256
O23 0.062 0.370 0.871
Ni3 0.500 0.500 0.500
Ti3 0.750 0.156 0.383
O24 0.250 0.167 0.985
O25 0.938 0.870 0.629
O26 0.750 0.506 0.987
O27 0.750 0.359 0.442
O28 0.250 0.494 0.013
O29 0.052 0.607 0.368
P6 0.250 0.350 0.938
O30 0.250 0.042 0.733
O31 0.938 0.630 0.129
O32 0.562 0.630 0.129
Ti4 0.250 0.844 0.617
Ca4 0.750 0.882 0.781
O33 0.250 0.780 0.244
P7 0.250 0.150 0.438
O34 0.052 0.893 0.868
O35 0.750 0.141 0.942
Ni4 0.000 0.500 0.500
O36 0.448 0.607 0.368
P8 0.750 0.850 0.562

---

Density functional theory data (GGA+U) for CaV2Ni2P4O18 after structural relaxation.

Properties
ΔH_f (0 K) = -2.482 eV/atom
Spin magnetization = 0.1482 μB/atom
Volume = 676.5 Å³/cell
Calculated density = 3295 kg/m³
Energy with MP2020 corrections = -7.758 eV/atom

Lattice parameters (Å, degrees): 6.403 7.552 13.990 90.00 90.00 90.00
Positions (direct):
O1 0.811 0.119 0.871
P1 0.500 0.140 0.692
P2 0.000 0.358 0.312
P3 0.000 0.642 0.812
O2 0.698 0.858 0.131
O3 0.302 0.623 0.624
O4 0.200 0.642 0.869
Ni1 0.748 0.745 0.996
P4 0.000 0.900 0.441
V1 0.500 0.902 0.379
O5 0.698 0.377 0.124
P5 0.500 0.399 0.063
V2 0.500 0.098 0.879
O6 0.500 0.906 0.942
Ni2 0.252 0.745 0.996
P6 0.500 0.860 0.192
O7 0.302 0.858 0.131
O8 0.800 0.358 0.369
P7 0.000 0.100 0.941
O9 0.811 0.881 0.371
O10 0.302 0.142 0.631
O11 0.189 0.119 0.871
Ni3 0.252 0.255 0.496
O12 0.302 0.377 0.124
O13 0.200 0.358 0.369
O14 0.000 0.400 0.561
P8 0.500 0.601 0.563
O15 0.698 0.623 0.624
O16 0.000 0.756 0.516
O17 0.500 0.416 0.518
O18 0.800 0.642 0.869
O19 0.500 0.584 0.018
O20 0.698 0.142 0.631
O21 0.500 0.254 0.983
O22 0.000 0.917 0.987
O23 0.500 0.094 0.442
O24 0.500 0.282 0.773
O25 0.000 0.600 0.061
O26 0.500 0.746 0.483
Ca1 0.000 0.126 0.718
Ni4 0.748 0.255 0.496
O27 0.000 0.471 0.741
O28 0.500 0.718 0.273
O29 0.189 0.881 0.371
O30 0.000 0.215 0.229
O31 0.000 0.529 0.241
V3 0.000 0.404 0.122
Ca2 0.000 0.874 0.218
V4 0.000 0.596 0.622
O32 0.500 0.030 0.259
O33 0.000 0.785 0.729
O34 0.500 0.970 0.759
O35 0.000 0.083 0.487
O36 0.000 0.244 0.016

---

Density functional theory data (GGA+U) for Ca2NiSbO6 after structural relaxation.

Properties
ΔH_f (0 K) = -2.254 eV/atom
Spin magnetization = 0.3000 μB/atom
Volume = 239.5 Å³/cell
Calculated density = 4944 kg/m³
Energy with MP2020 corrections = -6.615 eV/atom

Lattice parameters (Å, degrees): 5.528 5.623 7.714 90.00 90.00 92.60
Positions (direct):
O1 0.585 0.037 0.250
Ca1 0.002 0.040 0.750
Ca2 0.998 0.960 0.250
O2 0.302 0.700 0.453
Ni1 0.500 0.000 0.000
Sb1 0.000 0.500 0.500
Ca3 0.479 0.436 0.250
O3 0.186 0.216 0.450
O4 0.698 0.300 0.953
O5 0.103 0.462 0.750
O6 0.415 0.963 0.750
O7 0.302 0.700 0.047
O8 0.698 0.300 0.547
O9 0.897 0.538 0.250
Sb2 0.000 0.500 0.000
O10 0.186 0.216 0.050
O11 0.814 0.784 0.550
Ni2 0.500 0.000 0.500
O12 0.814 0.784 0.950
Ca4 0.521 0.564 0.750

---

Density functional theory data (GGA+U) for CaSi2NiO6 after structural relaxation.

Properties
ΔH_f (0 K) = -2.949 eV/atom
Distance to the lowest polymorph of the same formula = 0 meV/atom
Spin magnetization = 0.0000 μB/atom
Volume = 451.4 Å³/cell
Calculated density = 3692 kg/m³
Energy with MP2020 corrections = -7.781 eV/atom

Lattice parameters (Å, degrees): 5.295 9.819 8.993 90.00 90.00 105.10
Positions (direct):
O1 0.459 0.639 0.750
O2 0.142 0.649 0.981
Ca1 0.250 0.000 0.297
O3 0.959 0.139 0.250
O4 0.358 0.851 0.519
Ca2 0.750 0.000 0.703
O5 0.142 0.149 0.519
O6 0.459 0.139 0.750
Ni1 0.250 0.000 0.909
Si1 0.940 0.713 0.093
Si2 0.440 0.713 0.907
O7 0.541 0.361 0.250
Ni2 0.750 0.000 0.091
O8 0.642 0.649 0.019
Si3 0.940 0.213 0.407
Si4 0.440 0.213 0.593
Ca3 0.750 0.500 0.797
Si5 0.060 0.287 0.907
Ca4 0.250 0.500 0.203
O9 0.026 0.384 0.413
Ni3 0.250 0.500 0.591
O10 0.642 0.149 0.481
Si6 0.560 0.787 0.407
O11 0.026 0.884 0.087
O12 0.858 0.351 0.019
O13 0.474 0.616 0.413
O14 0.974 0.116 0.913
O15 0.041 0.361 0.750
O16 0.526 0.884 0.913
O17 0.858 0.851 0.481
Si7 0.560 0.287 0.093
O18 0.541 0.861 0.250
Ni4 0.750 0.500 0.409
O19 0.974 0.616 0.587
O20 0.474 0.116 0.087
O21 0.358 0.351 0.981
O22 0.959 0.639 0.250
O23 0.526 0.384 0.587
Si8 0.060 0.787 0.593
O24 0.041 0.861 0.750

---

Density functional theory data (GGA+U) for CaSi2NiO6 after structural relaxation.

Properties
ΔH_f (0 K) = -2.893 eV/atom
Distance to the lowest polymorph of the same formula = 56 meV/atom
Spin magnetization = 0.2000 μB/atom
Volume = 1004.6 Å³/cell
Calculated density = 3318 kg/m³
Energy with MP2020 corrections = -7.725 eV/atom

Lattice parameters (Å, degrees): 5.456 9.717 18.951 90.00 90.00 90.00
Positions (direct):
Ni1 0.616 0.500 0.372
O1 0.416 0.482 0.185
Si1 0.257 0.667 0.475
O2 0.043 0.347 0.812
O3 0.177 0.257 0.200
O4 0.323 0.257 0.700
O5 0.823 0.243 0.700
Ca1 0.388 0.356 0.879
O6 0.256 0.649 0.561
Si2 0.257 0.167 0.025
O7 0.256 0.149 0.939
O8 0.033 0.287 0.545
Si3 0.743 0.833 0.975
O9 0.543 0.653 0.688
Si4 0.937 0.164 0.225
O10 0.957 0.153 0.312
Ca2 0.112 0.856 0.121
Si5 0.563 0.164 0.725
Si6 0.563 0.664 0.775
O11 0.967 0.713 0.455
O12 0.823 0.743 0.800
O13 0.744 0.851 0.061
O14 0.967 0.213 0.045
O15 0.677 0.743 0.300
O16 0.744 0.351 0.439
O17 0.325 0.032 0.071
O18 0.084 0.982 0.815
O19 0.244 0.149 0.439
Ni2 0.116 0.500 0.128
O20 0.175 0.032 0.571
O21 0.957 0.653 0.188
O22 0.084 0.482 0.685
O23 0.916 0.518 0.315
Ca3 0.612 0.644 0.121
O24 0.457 0.847 0.188
O25 0.756 0.351 0.939
Ca4 0.888 0.144 0.879
O26 0.675 0.468 0.571
O27 0.543 0.153 0.812
Ca5 0.112 0.356 0.379
O28 0.033 0.787 0.955
O29 0.467 0.787 0.455
O30 0.467 0.287 0.045
Si7 0.757 0.833 0.475
Ni3 0.616 0.000 0.128
Si8 0.063 0.836 0.775
Si9 0.437 0.836 0.275
Ca6 0.388 0.856 0.621
Si10 0.743 0.333 0.525
O31 0.533 0.713 0.955
O32 0.677 0.243 0.200
O33 0.675 0.968 0.929
O34 0.825 0.968 0.429
O35 0.416 0.982 0.315
O36 0.756 0.851 0.561
Si11 0.243 0.667 0.975
O37 0.584 0.518 0.815
Ni4 0.384 0.500 0.628
O38 0.533 0.213 0.545
Si12 0.063 0.336 0.725
Si13 0.243 0.167 0.525
O39 0.584 0.018 0.685
Si14 0.937 0.664 0.275
O40 0.323 0.757 0.800
Si15 0.757 0.333 0.025
Ca7 0.612 0.144 0.379
O41 0.457 0.347 0.312
Ni5 0.884 0.000 0.628
O42 0.244 0.649 0.061
Ca8 0.888 0.644 0.621
O43 0.175 0.532 0.929
O44 0.825 0.468 0.071
Ni6 0.884 0.500 0.872
O45 0.325 0.532 0.429
Ni7 0.384 0.000 0.872
Si16 0.437 0.336 0.225
Ni8 0.116 0.000 0.372
O46 0.916 0.018 0.185
O47 0.177 0.757 0.300
O48 0.043 0.847 0.688

---

Density functional theory data (GGA+U) for CaSi4Ni2O12 after structural relaxation.

Properties
ΔH_f (0 K) = -2.599 eV/atom
Spin magnetization = 0.2106 μB/atom
Volume = 216.6 Å³/cell
Calculated density = 3540 kg/m³
Energy with MP2020 corrections = -7.581 eV/atom

Lattice parameters (Å, degrees): 6.555 6.555 5.298 77.50 77.50 84.32
Positions (direct):
Si1 0.200 0.379 0.531
Si2 0.384 0.200 0.020
Si3 0.621 0.800 0.469
O1 0.908 0.384 0.044
O2 0.970 0.800 0.896
Si4 0.800 0.616 0.980
O3 0.335 0.377 0.760
O4 0.036 0.189 0.629
O5 0.616 0.092 0.956
O6 0.660 0.643 0.749
O7 0.811 0.964 0.371
O8 0.383 0.893 0.563
O9 0.357 0.340 0.251
O10 0.107 0.617 0.437
Ca1 0.302 0.698 0.000
O11 0.623 0.665 0.240
O12 0.200 0.030 0.104
Ni1 0.898 0.102 0.000
Ni2 0.088 0.912 0.500

---

Density functional theory data (GGA+U) for Ca3Si3Ni2O12 after structural relaxation.

Properties
ΔH_f (0 K) = -2.780 eV/atom
Spin magnetization = 0.0999 μB/atom
Volume = 901.4 Å³/cell
Calculated density = 3787 kg/m³
Energy with MP2020 corrections = -7.442 eV/atom

Lattice parameters (Å, degrees): 10.540 10.540 10.540 109.47 109.47 109.47
Positions (direct):
Si1 0.375 0.625 0.750
Si2 0.250 0.125 0.875
Ca1 0.750 0.625 0.875
O1 0.382 0.295 0.490
O2 0.912 0.118 0.608
O3 0.412 0.805 0.795
O4 0.795 0.882 0.990
O5 0.295 0.490 0.382
O6 0.205 0.118 0.010
O7 0.510 0.392 0.805
O8 0.588 0.892 0.382
O9 0.490 0.608 0.195
O10 0.588 0.195 0.205
O11 0.195 0.205 0.588
O12 0.305 0.892 0.010
Ni1 0.000 0.000 0.500
Si3 0.375 0.250 0.625
Ca2 0.625 0.250 0.875
Ca3 0.250 0.375 0.125
Ca4 0.375 0.125 0.250
O13 0.392 0.088 0.882
O14 0.795 0.412 0.805
O15 0.205 0.588 0.195
O16 0.412 0.108 0.618
Ca5 0.875 0.625 0.250
O17 0.088 0.705 0.695
O18 0.882 0.990 0.795
O19 0.912 0.295 0.305
Ca6 0.125 0.250 0.375
Si4 0.125 0.750 0.875
Ca7 0.125 0.375 0.750
Si5 0.750 0.375 0.625
Si6 0.625 0.750 0.375
Ni2 0.000 0.500 0.500
O20 0.882 0.392 0.088
O21 0.990 0.795 0.882
O22 0.490 0.382 0.295
Si7 0.875 0.250 0.125
O23 0.705 0.695 0.088
O24 0.695 0.108 0.990
O25 0.195 0.490 0.608
Si8 0.625 0.375 0.250
O26 0.695 0.088 0.705
O27 0.608 0.912 0.118
O28 0.118 0.608 0.912
O29 0.295 0.305 0.912
O30 0.108 0.990 0.695
Ni3 0.500 0.500 0.500
O31 0.118 0.010 0.205
O32 0.892 0.382 0.588
O33 0.805 0.795 0.412
O34 0.010 0.205 0.118
Si9 0.875 0.125 0.750
Ca8 0.375 0.750 0.125
Ni4 0.000 0.500 0.000
Ni5 0.500 0.500 0.000
O35 0.392 0.805 0.510
Ca9 0.250 0.875 0.625
O36 0.608 0.195 0.490
Ca10 0.625 0.875 0.750
O37 0.990 0.695 0.108
O38 0.108 0.618 0.412
O39 0.618 0.412 0.108
Si10 0.250 0.625 0.375
Ni6 0.000 0.000 0.000
Ca11 0.750 0.125 0.375
Ca12 0.875 0.750 0.625
O40 0.705 0.510 0.618
Si11 0.125 0.875 0.250
O41 0.088 0.882 0.392
O42 0.618 0.705 0.510
O43 0.892 0.010 0.305
Ni7 0.500 0.000 0.000
O44 0.305 0.912 0.295
Si12 0.750 0.875 0.125
O45 0.382 0.588 0.892
O46 0.510 0.618 0.705
O47 0.805 0.510 0.392
O48 0.010 0.305 0.892
Ni8 0.500 0.000 0.500

---

no.,VASP energy (eV/atom)
1,-7.229
2,-7.371
3,-6.986
4,-5.948
5,-7.115
6,-7.059
7,-6.879
8,-6.776